No. 1
# PrHSe2O6

An optimized crystal structure of PrHSe2O6 (PBE, the Materials Project database).

```
data_PrHSe2O6
_chemical_formula_sum 'Pr8 H8 Se16 O48'
_space_group_name_H-M_alt 'P 1'
_space_group_IT_number 1
_space_group_name_Hall 'P 1'
_cell_length_a 8.471
_cell_length_b 7.145
_cell_length_c 19.512
_cell_angle_alpha 90.00
_cell_angle_beta 90.00
_cell_angle_gamma 90.00
loop_
_atom_site_label
_atom_site_type_symbol
_atom_site_fract_x
_atom_site_fract_y
_atom_site_fract_z
Pr1 Pr 0.058 0.085 0.000
Pr2 Pr 0.157 0.583 0.087
Pr3 Pr 0.343 0.583 0.587
Pr4 Pr 0.442 0.085 0.500
Pr5 Pr 0.558 0.915 0.000
Pr6 Pr 0.657 0.417 0.087
Pr7 Pr 0.843 0.417 0.587
Pr8 Pr 0.942 0.915 0.500
H1 H 0.103 0.285 0.803
H2 H 0.153 0.190 0.287
H3 H 0.347 0.190 0.787
H4 H 0.397 0.285 0.303
H5 H 0.603 0.715 0.803
H6 H 0.653 0.810 0.287
H7 H 0.847 0.810 0.787
H8 H 0.897 0.715 0.303
Se1 Se 0.092 0.429 0.449
Se2 Se 0.127 0.559 0.734
Se3 Se 0.162 0.909 0.350
Se4 Se 0.194 0.066 0.637
Se5 Se 0.306 0.066 0.137
Se6 Se 0.338 0.909 0.850
Se7 Se 0.373 0.559 0.234
Se8 Se 0.408 0.429 0.949
Se9 Se 0.592 0.571 0.449
Se10 Se 0.627 0.441 0.734
Se11 Se 0.662 0.091 0.350
Se12 Se 0.694 0.934 0.637
Se13 Se 0.806 0.934 0.137
Se14 Se 0.838 0.091 0.850
Se15 Se 0.873 0.441 0.234
Se16 Se 0.908 0.571 0.949
O1 O 0.007 0.134 0.616
O2 O 0.011 0.201 0.868
O3 O 0.036 0.739 0.982
O4 O 0.070 0.108 0.307
O5 O 0.070 0.595 0.515
O6 O 0.083 0.519 0.650
O7 O 0.179 0.235 0.106
O8 O 0.181 0.325 0.765
O9 O 0.190 0.646 0.221
O10 O 0.198 0.988 0.431
O11 O 0.214 0.905 0.569
O12 O 0.221 0.365 0.972
O13 O 0.279 0.365 0.472
O14 O 0.286 0.905 0.069
O15 O 0.302 0.988 0.931
O16 O 0.310 0.646 0.721
O17 O 0.319 0.325 0.265
O18 O 0.321 0.235 0.606
O19 O 0.417 0.519 0.150
O20 O 0.430 0.108 0.807
O21 O 0.430 0.595 0.015
O22 O 0.464 0.739 0.482
O23 O 0.489 0.201 0.368
O24 O 0.493 0.134 0.116
O25 O 0.507 0.866 0.616
O26 O 0.511 0.799 0.868
O27 O 0.536 0.261 0.982
O28 O 0.570 0.405 0.515
O29 O 0.570 0.892 0.307
O30 O 0.583 0.481 0.650
O31 O 0.679 0.765 0.106
O32 O 0.681 0.675 0.765
O33 O 0.690 0.354 0.221
O34 O 0.698 0.012 0.431
O35 O 0.714 0.095 0.569
O36 O 0.721 0.635 0.972
O37 O 0.779 0.635 0.472
O38 O 0.786 0.095 0.069
O39 O 0.802 0.012 0.931
O40 O 0.810 0.354 0.721
O41 O 0.819 0.675 0.265
O42 O 0.821 0.765 0.606
O43 O 0.917 0.481 0.150
O44 O 0.930 0.405 0.015
O45 O 0.930 0.892 0.807
O46 O 0.964 0.261 0.482
O47 O 0.989 0.799 0.368
O48 O 0.993 0.866 0.116
```

Properties
- SG = Pca2_1 (29)

=====

No. 2
# RbHO

An optimized crystal structure of RbHO (PBE, the Materials Project database).

```
data_RbHO
_chemical_formula_sum 'Rb4 H4 O4'
_space_group_name_H-M_alt 'P 1'
_space_group_IT_number 1
_space_group_name_Hall 'P 1'
_cell_length_a 6.647
_cell_length_b 4.069
_cell_length_c 8.072
_cell_angle_alpha 90.00
_cell_angle_beta 90.00
_cell_angle_gamma 90.00
loop_
_atom_site_label
_atom_site_type_symbol
_atom_site_fract_x
_atom_site_fract_y
_atom_site_fract_z
Rb1 Rb 0.031 0.250 0.194
Rb2 Rb 0.469 0.750 0.694
Rb3 Rb 0.531 0.250 0.306
Rb4 Rb 0.969 0.750 0.806
H1 H 0.067 0.250 0.538
H2 H 0.433 0.750 0.038
H3 H 0.567 0.250 0.962
H4 H 0.933 0.750 0.462
O1 O 0.207 0.250 0.572
O2 O 0.293 0.750 0.072
O3 O 0.707 0.250 0.928
O4 O 0.793 0.750 0.428
```

Properties
- SG = Pnma (62)

=====

| no. | raw total energy (eV per atom) | calculated formation energy (eV per atom) |
| --- | --- | --- |
| 1 | -6.053 | -1.98 |
| 2 | -4.341 | -1.46 |